Entry 1:
The following is a PBE calculation of a geometry-optimized Si3BiH27C10Cl2 structure, from Materials Project.

Calculated values
**DFT formation energy**: -0.26 eV per atom
**Total energy after the MP2020 corrections**: -875.97 eV/cell

Cell and atoms, written as CIF:
```
data_Si3BiH27C10Cl2
_chemical_formula_sum 'Si12 Bi4 H108 C40 Cl8'
_cell_length_a 9.2756
_cell_length_b 16.1978
_cell_length_c 17.0369
_cell_angle_alpha 117.18
_cell_angle_beta 101.61
_cell_angle_gamma 91.21
_symmetry_space_group_name_H-M 'P -1'
_symmetry_Int_Tables_number 2
loop_
_symmetry_equiv_pos_as_xyz
'x,y,z'
'-x,-y,-z'
loop_
_atom_site_label
_atom_site_fract_x
_atom_site_fract_y
_atom_site_fract_z
_atom_site_occupancy
Si1 0.0542 0.2722 0.2129 1
Si2 0.1998 0.8916 0.8303 1
Si3 0.2336 0.6742 0.7053 1
Si4 0.2933 0.6349 0.1521 1
Si5 0.3544 0.8587 0.2830 1
Si6 0.3745 0.2642 0.7406 1
Bi1 0.0201 0.2468 0.3955 1
Bi2 0.4015 0.7400 0.3956 1
H1 0.0171 0.0165 0.1431 1
H2 0.0303 0.5883 0.0709 1
H3 0.0434 0.6544 0.1896 1
H4 0.0531 0.5383 0.5781 1
H5 0.0558 0.9886 0.7699 1
H6 0.0691 0.7117 0.1242 1
H7 0.0697 0.3439 0.1138 1
H8 0.0733 0.5322 0.6813 1
H9 0.0777 0.6151 0.8320 1
H10 0.0843 0.1202 0.0830 1
H11 0.0931 0.8296 0.2963 1
H12 0.1018 0.7295 0.9258 1
H13 0.1323 0.2051 0.6308 1
H14 0.1527 0.0551 0.8852 1
H15 0.1579 0.8950 0.9738 1
H16 0.1609 0.9508 0.3492 1
H17 0.1617 0.4275 0.3536 1
H18 0.1998 0.3792 0.7870 1
H19 0.2032 0.2124 0.8079 1
H20 0.2094 0.8212 0.1266 1
H21 0.2152 0.8855 0.4061 1
H22 0.2157 0.5023 0.6211 1
H23 0.2165 0.1444 0.1855 1
H24 0.2304 0.4651 0.0879 1
H25 0.2396 0.2068 0.1247 1
H26 0.2561 0.1235 0.5882 1
H27 0.2568 0.6708 0.5568 1
H28 0.2595 0.2278 0.5773 1
H29 0.2649 0.3356 0.3540 1
H30 0.2673 0.5176 0.2084 1
H31 0.2678 0.9429 0.1964 1
H32 0.2748 0.5645 0.9862 1
H33 0.2848 0.3829 0.2818 1
H34 0.3123 0.9754 0.9963 1
H35 0.3291 0.8541 0.9517 1
H36 0.3296 0.6685 0.8508 1
H37 0.3354 0.6864 0.0394 1
H38 0.3356 0.4191 0.7475 1
H39 0.3383 0.1348 0.7801 1
H40 0.3609 0.9164 0.7384 1
H41 0.3790 0.4306 0.8594 1
H42 0.3850 0.2451 0.8799 1
H43 0.3939 0.0439 0.6562 1
H44 0.3965 0.8675 0.1464 1
H45 0.4006 0.7510 0.6494 1
H46 0.4047 0.6284 0.6030 1
H47 0.4168 0.4988 0.1535 1
H48 0.4278 0.9901 0.8573 1
H49 0.4498 0.7482 0.8405 1
H50 0.4507 0.6255 0.7762 1
H51 0.4594 0.8714 0.8089 1
H52 0.4617 0.0245 0.3774 1
H53 0.4627 0.6080 0.0466 1
H54 0.4667 0.0399 0.5660 1
C1 0.0229 0.6772 0.8647 1
C2 0.0851 0.9878 0.8352 1
C3 0.0900 0.6502 0.1337 1
C4 0.0998 0.7675 0.7454 1
C5 0.1326 0.5508 0.6408 1
C6 0.1571 0.1755 0.1452 1
C7 0.1911 0.8816 0.3383 1
C8 0.2028 0.3628 0.3108 1
C9 0.2473 0.1986 0.6228 1
C10 0.2539 0.9046 0.9488 1
C11 0.3021 0.8729 0.1776 1
C12 0.3046 0.5187 0.1516 1
C13 0.3191 0.3855 0.7887 1
C14 0.3220 0.2088 0.8089 1
C15 0.3314 0.6836 0.6214 1
C16 0.3479 0.6228 0.0466 1
C17 0.3793 0.6806 0.8031 1
C18 0.3785 0.9186 0.8051 1
C19 0.4170 0.7377 0.2591 1
C20 0.4961 0.0417 0.6326 1
Cl1 0.1194 0.8802 0.5931 1
Cl2 0.1478 0.6538 0.3581 1
Cl3 0.2384 0.1576 0.3612 1
Cl4 0.4712 0.3957 0.6051 1
```


Entry 2:
The following is a PBE calculation of a geometry-optimized Ti20Sb9Se3 structure, from Materials Project.

Calculated values
**DFT formation energy**: -0.64 eV per atom
**Total energy after the MP2020 corrections**: -451.98 eV/cell

Cell and atoms, written as CIF:
```
data_Ti20Sb9Se3
_chemical_formula_sum 'Ti40 Sb18 Se6'
_cell_length_a 16.6744
_cell_length_b 6.9863
_cell_length_c 10.0653
_cell_angle_alpha 90.00
_cell_angle_beta 90.00
_cell_angle_gamma 90.00
_symmetry_space_group_name_H-M 'P m n 21'
_symmetry_Int_Tables_number 31
loop_
_symmetry_equiv_pos_as_xyz
'x,y,z'
'-x+1/2,-y,z+1/2'
'-x,y,z'
'x+1/2,-y,z+1/2'
loop_
_atom_site_label
_atom_site_fract_x
_atom_site_fract_y
_atom_site_fract_z
_atom_site_occupancy
Ti1 0.0000 0.0503 0.0301 1
Ti2 0.0000 0.2222 0.7685 1
Ti3 0.0000 0.4249 0.4937 1
Ti4 0.0000 0.5907 0.9832 1
Ti5 0.0000 0.7633 0.2627 1
Ti6 0.0000 0.9305 0.5480 1
Ti7 0.0970 0.5614 0.7215 1
Ti8 0.1047 0.4475 0.2232 1
Ti9 0.1515 0.9414 0.8231 1
Ti10 0.1593 0.0593 0.3248 1
Ti11 0.2481 0.9091 0.5649 1
Ti12 0.2486 0.2782 0.7788 1
Ti13 0.2490 0.4317 0.5000 1
Sb1 0.0000 0.1600 0.2963 1
Sb2 0.1198 0.3145 0.9533 1
Sb3 0.1207 0.6893 0.4503 1
Sb4 0.1293 0.1870 0.5954 1
Sb5 0.1321 0.8151 0.0947 1
Se1 0.0000 0.8378 0.7986 1
Se2 0.2470 0.6619 0.7521 1
```


Entry 3:
The following is a PBE calculation of a geometry-optimized NdTc3 structure, from Materials Project.

Calculated values
**DFT formation energy**: 0.37 eV per atom

Cell and atoms, written as CIF:
```
data_NdTc3
_chemical_formula_sum 'Nd2 Tc6'
_cell_length_a 6.7356
_cell_length_b 6.7356
_cell_length_c 4.1791
_cell_angle_alpha 90.00
_cell_angle_beta 90.00
_cell_angle_gamma 120.00
_symmetry_space_group_name_H-M 'P 63/m m c'
_symmetry_Int_Tables_number 194
_symmetry_space_group_name_Hall '-P 6c 2c'
loop_
_atom_site_label
_atom_site_fract_x
_atom_site_fract_y
_atom_site_fract_z
_atom_site_occupancy
Nd1 0.3333 0.6667 0.2500 1
Tc1 0.1309 0.2618 0.7500 1
```


Entry 4:
The following is a PBE calculation of a geometry-optimized K4PH5Se3O16 structure, from Materials Project.

Calculated values
**DFT formation energy**: -1.70 eV per atom
**Total energy after the MP2020 corrections**: -165.76 eV/cell

Cell and atoms, written as CIF:
```
data_K4PH5Se3O16
_chemical_formula_sum 'K4 P1 H5 Se3 O16'
_cell_length_a 7.5877
_cell_length_b 7.7995
_cell_length_c 7.8631
_cell_angle_alpha 71.35
_cell_angle_beta 87.68
_cell_angle_gamma 85.71
_symmetry_space_group_name_H-M 'P 1'
_symmetry_Int_Tables_number 1
loop_
_symmetry_equiv_pos_as_xyz
'x,y,z'
loop_
_atom_site_label
_atom_site_fract_x
_atom_site_fract_y
_atom_site_fract_z
_atom_site_occupancy
K1 0.0000 0.0000 0.0000 1
K2 0.0645 0.4849 0.4387 1
K3 0.3700 0.5551 0.8841 1
K4 0.6918 0.9380 0.5507 1
P1 0.5731 0.4625 0.4126 1
H1 0.2856 0.1698 0.2494 1
H2 0.4103 0.6717 0.1875 1
H3 0.5225 0.2786 0.6917 1
H4 0.6721 0.7428 0.3025 1
H5 0.7779 0.3152 0.1911 1
Se1 0.1594 0.9596 0.4977 1
Se2 0.4997 0.0156 0.0231 1
Se3 0.9034 0.5257 0.9415 1
O1 0.0215 0.6071 0.0682 1
O2 0.0260 0.4741 0.7843 1
O3 0.0373 0.0117 0.6546 1
O4 0.0417 0.8778 0.3712 1
O5 0.2230 0.1771 0.3655 1
O6 0.3434 0.8339 0.5680 1
O7 0.3703 0.1841 0.0602 1
O8 0.3724 0.8441 0.0346 1
O9 0.4190 0.5390 0.2748 1
O10 0.4783 0.4024 0.6024 1
O11 0.5935 0.0972 0.8197 1
O12 0.6604 0.9385 0.1746 1
O13 0.6852 0.3087 0.3798 1
O14 0.6880 0.6248 0.4090 1
O15 0.7199 0.6514 0.8697 1
O16 0.8399 0.3086 0.0748 1
```


Entry 5:
The following is a PBE calculation of a geometry-optimized Be10Ru3 structure, from Materials Project.

Calculated values
**DFT formation energy**: -0.16 eV per atom

Cell and atoms, written as CIF:
```
data_Be10Ru3
_chemical_formula_sum 'Be40 Ru12'
_cell_length_a 7.9053
_cell_length_b 11.2974
_cell_length_c 6.7037
_cell_angle_alpha 90.00
_cell_angle_beta 120.57
_cell_angle_gamma 90.00
_symmetry_space_group_name_H-M 'C 1 m 1'
_symmetry_Int_Tables_number 8
loop_
_symmetry_equiv_pos_as_xyz
'x,y,z'
'x,-y,z'
'x+1/2,y+1/2,z'
'x+1/2,-y+1/2,z'
loop_
_atom_site_label
_atom_site_fract_x
_atom_site_fract_y
_atom_site_fract_z
_atom_site_occupancy
Be1 0.0000 0.0000 0.0000 1
Be2 0.0091 0.5000 0.1621 1
Be3 0.1251 0.3228 0.0887 1
Be4 0.1539 0.0000 0.4269 1
Be5 0.1846 0.0000 0.8429 1
Be6 0.1988 0.3864 0.8180 1
Be7 0.2812 0.1859 0.8040 1
Be8 0.2891 0.1426 0.1573 1
Be9 0.3475 0.5000 0.5807 1
Be10 0.3687 0.1714 0.5347 1
Be11 0.4500 0.3433 0.4383 1
Be12 0.4636 0.0000 0.8142 1
Be13 0.4789 0.3281 0.1423 1
Ru1 0.0012 0.1759 0.8103 1
Ru2 0.1373 0.3196 0.4373 1
Ru3 0.3047 0.5000 0.1761 1
Ru4 0.4611 0.0000 0.4686 1
```


Entry 6:
The following is a PBE calculation of a geometry-optimized NaPmAu2 structure, from Materials Project.

Calculated values
**DFT formation energy**: -0.60 eV per atom

Cell and atoms, written as CIF:
```
data_NaPmAu2
_chemical_formula_sum 'Na4 Pm4 Au8'
_cell_length_a 7.1952
_cell_length_b 7.1952
_cell_length_c 7.1952
_cell_angle_alpha 90.00
_cell_angle_beta 90.00
_cell_angle_gamma 90.00
_symmetry_space_group_name_H-M 'F m -3 m'
_symmetry_Int_Tables_number 225
_symmetry_space_group_name_Hall '-F 4 2 3'
loop_
_atom_site_label
_atom_site_fract_x
_atom_site_fract_y
_atom_site_fract_z
_atom_site_occupancy
Na1 0.0000 0.0000 0.0000 1
Pm1 0.0000 0.0000 0.5000 1
Au1 0.2500 0.2500 0.2500 1
```


Entry 7:
The following is a PBE calculation of a geometry-optimized Ba2Ru7O18 structure, from Materials Project.

Calculated values
**DFT formation energy**: -1.75 eV per atom
**Total energy after the MP2020 corrections**: -205.11 eV/cell

Cell and atoms, written as CIF:
```
data_Ba2Ru7O18
_chemical_formula_sum 'Ba2 Ru7 O18'
_cell_length_a 6.8365
_cell_length_b 7.2281
_cell_length_c 7.6497
_cell_angle_alpha 93.35
_cell_angle_beta 94.60
_cell_angle_gamma 115.64
_symmetry_space_group_name_H-M 'P -1'
_symmetry_Int_Tables_number 2
loop_
_symmetry_equiv_pos_as_xyz
'x,y,z'
'-x,-y,-z'
loop_
_atom_site_label
_atom_site_fract_x
_atom_site_fract_y
_atom_site_fract_z
_atom_site_occupancy
Ba1 0.1801 0.3124 0.3785 1
Ru1 0.1127 0.7241 0.1154 1
Ru2 0.3024 0.1279 0.8158 1
Ru3 0.3253 0.6201 0.8017 1
Ru4 0.5000 0.0000 0.5000 1
O1 0.0105 0.0911 0.8338 1
O2 0.0243 0.4440 0.6946 1
O3 0.1769 0.4881 0.0143 1
O4 0.2121 0.8323 0.8856 1
O5 0.2265 0.0032 0.5722 1
O6 0.4031 0.8682 0.2501 1
O7 0.4050 0.4018 0.7306 1
O8 0.4178 0.2336 0.0488 1
O9 0.4180 0.7320 0.5828 1
```


Entry 8:
The following is a PBE calculation of a geometry-optimized Sr3CaI8 structure, from Materials Project.

Calculated values
**DFT formation energy**: -1.87 eV per atom
**Total energy after the MP2020 corrections**: -83.31 eV/cell

Cell and atoms, written as CIF:
```
data_Sr3CaI8
_chemical_formula_sum 'Sr6 Ca2 I16'
_cell_length_a 8.0101
_cell_length_b 8.0101
_cell_length_c 16.0112
_cell_angle_alpha 90.00
_cell_angle_beta 90.00
_cell_angle_gamma 90.00
_symmetry_space_group_name_H-M 'I 4/m m m'
_symmetry_Int_Tables_number 139
_symmetry_space_group_name_Hall '-I 4 2'
loop_
_atom_site_label
_atom_site_fract_x
_atom_site_fract_y
_atom_site_fract_z
_atom_site_occupancy
Sr1 0.0000 0.0000 0.0000 1
Sr2 0.0000 0.5000 0.2500 1
Ca1 0.0000 0.0000 0.5000 1
I1 0.2465 0.2465 0.3766 1
```